## Ba8Bi4O17 (meta-GGA r2SCAN)

Data for a geometry-optimized Ba8Bi4O17 structure.

Unit cell a=10.896 b=10.896 c=6.306 alpha=105.56 beta=105.56 gamma=47.80
Fractional coordinates of all 29 atoms:
Ba  0.000  0.000  0.000
Ba  0.075  0.584  0.781
Ba  0.262  0.785  0.516
Ba  0.368  0.368  0.298
Ba  0.427  0.957  0.171
Ba  0.584  0.075  0.781
Ba  0.785  0.262  0.516
Ba  0.957  0.427  0.171
Bi  0.180  0.180  0.655
Bi  0.516  0.516  0.014
Bi  0.677  0.677  0.658
Bi  0.842  0.842  0.332
O  0.065  0.598  0.334
O  0.094  0.094  0.787
O  0.111  0.111  0.330
O  0.253  0.253  0.975
O  0.266  0.266  0.519
O  0.270  0.663  0.070
O  0.421  0.934  0.658
O  0.460  0.460  0.676
O  0.574  0.574  0.364
O  0.598  0.065  0.334
O  0.609  0.609  0.930
O  0.663  0.270  0.070
O  0.741  0.741  0.431
O  0.779  0.779  0.981
O  0.890  0.890  0.679
O  0.934  0.421  0.658
O  0.945  0.945  0.310

Output
Uncorrected energy   -21.023 eV per atom
DFT formation energy   -2.142 eV per atom
Magnetic moment   0.0 μB/f.u.
Calculated volume   18.3 Å³/atom